[1]
Compound: Tb2In16Pt7
Source: the Materials Project database
Functional: PBE
Structure: relaxed Values from VASP.

Cell and atoms, written as Quantum ESPRESSO input:
```
&SYSTEM
  ibrav = 0, nat = 25, ntyp = 3
/
ATOMIC_SPECIES
Tb 158.93 Tb.upf
In 114.82 In.upf
Pt 195.08 Pt.upf
ATOMIC_POSITIONS crystal
Tb 0.169 0.169 0.000
Tb 0.831 0.831 0.000
In 0.038 0.713 0.000
In 0.073 0.927 0.500
In 0.141 0.588 0.500
In 0.257 0.483 0.000
In 0.287 0.962 0.000
In 0.368 0.368 0.500
In 0.412 0.859 0.500
In 0.483 0.257 0.000
In 0.517 0.743 0.000
In 0.588 0.141 0.500
In 0.632 0.632 0.500
In 0.713 0.038 0.000
In 0.743 0.517 0.000
In 0.859 0.412 0.500
In 0.927 0.073 0.500
In 0.962 0.287 0.000
Pt 0.116 0.333 0.500
Pt 0.276 0.724 0.000
Pt 0.333 0.116 0.500
Pt 0.500 0.500 0.000
Pt 0.667 0.884 0.500
Pt 0.724 0.276 0.000
Pt 0.884 0.667 0.500
CELL_PARAMETERS angstrom
6.180 -10.136 0.000
6.180 10.136 0.000
0.000 0.000 4.466
```

Results
DFT total energy ... -4.34 eV/atom
Calculated volume ... 22.38 A^3/atom



[2]
Compound: TbInPt2
Source: the Materials Project database
Functional: PBE
Structure: relaxed Values from VASP.

Cell and atoms, written as Quantum ESPRESSO input:
```
&SYSTEM
  ibrav = 0, nat = 8, ntyp = 3
/
ATOMIC_SPECIES
Tb 158.93 Tb.upf
In 114.82 In.upf
Pt 195.08 Pt.upf
ATOMIC_POSITIONS crystal
Tb 0.000 0.000 0.000
Tb 0.000 0.000 0.500
In 0.333 0.667 0.250
In 0.667 0.333 0.750
Pt 0.333 0.667 0.591
Pt 0.333 0.667 0.909
Pt 0.667 0.333 0.091
Pt 0.667 0.333 0.409
CELL_PARAMETERS angstrom
4.795 0.000 0.000
-2.398 4.153 0.000
0.000 0.000 8.400
```

Results
DFT total energy ... -5.69 eV/atom
Calculated volume ... 20.91 A^3/atom



[3]
Compound: TbInPt4
Source: the Materials Project database
Functional: PBE
Structure: relaxed Values from VASP.

Cell and atoms, written as Quantum ESPRESSO input:
```
&SYSTEM
  ibrav = 0, nat = 6, ntyp = 3
/
ATOMIC_SPECIES
Tb 158.93 Tb.upf
In 114.82 In.upf
Pt 195.08 Pt.upf
ATOMIC_POSITIONS crystal
Tb 0.000 0.000 0.000
In 0.750 0.750 0.750
Pt 0.375 0.375 0.375
Pt 0.375 0.375 0.874
Pt 0.375 0.874 0.375
Pt 0.874 0.375 0.375
CELL_PARAMETERS angstrom
0.000 3.829 3.829
3.829 0.000 3.829
3.829 3.829 0.000
```

Results
DFT total energy ... -6.08 eV/atom
Calculated volume ... 18.72 A^3/atom



[4]
Compound: Tb5In4Pt2
Source: the Materials Project database
Functional: PBE
Structure: relaxed Values from VASP.

Cell and atoms, written as Quantum ESPRESSO input:
```
&SYSTEM
  ibrav = 0, nat = 22, ntyp = 3
/
ATOMIC_SPECIES
Tb 158.93 Tb.upf
In 114.82 In.upf
Pt 195.08 Pt.upf
ATOMIC_POSITIONS crystal
Tb 0.000 0.000 0.000
Tb 0.116 0.415 0.000
Tb 0.243 0.219 0.000
Tb 0.257 0.719 0.000
Tb 0.384 0.915 0.000
Tb 0.500 0.500 0.000
Tb 0.616 0.085 0.000
Tb 0.743 0.281 0.000
Tb 0.757 0.781 0.000
Tb 0.884 0.585 0.000
In 0.075 0.851 0.500
In 0.208 0.567 0.500
In 0.292 0.067 0.500
In 0.425 0.351 0.500
In 0.575 0.649 0.500
In 0.708 0.933 0.500
In 0.792 0.433 0.500
In 0.925 0.149 0.500
Pt 0.026 0.303 0.500
Pt 0.474 0.803 0.500
Pt 0.526 0.197 0.500
Pt 0.974 0.697 0.500
CELL_PARAMETERS angstrom
8.180 0.000 0.000
0.000 18.367 0.000
0.000 0.000 3.660
```

Results
DFT total energy ... -5.02 eV/atom
Calculated volume ... 25.00 A^3/atom



Q: Which value of DFT total energy does entry 4 give?
A: -5.02 eV/atom